A relaxed structure of Sr2GdMgCu2RuO8, computed with GGA-PBE.

a b c (Å): 3.9766 3.9766 12.9492
angles (deg): 90.00 90.00 90.00
Closest atoms and distances in Å follow each position.
Atoms (fractional coordinates):
Sr: 0.0000 0.0000 0.2445  4 O 2.68
Sr: 0.0000 0.0000 0.7555  4 O 2.68
Gd: 0.0000 0.0000 0.5000  8 O 2.50
Mg: 0.0000 0.0000 0.0000  4 O 1.99
Cu: 0.5000 0.5000 0.3851  4 O 1.99
Cu: 0.5000 0.5000 0.6149  4 O 1.99
Ru: 0.5000 0.5000 0.0000  6 O 1.99-2.04
O: 0.0000 0.5000 0.0000  2 Ru 1.99, 2 Mg 1.99
O: 0.0000 0.5000 0.3832  2 Cu 1.99
O: 0.0000 0.5000 0.6168  2 Cu 1.99
O: 0.5000 0.0000 0.0000  2 Ru 1.99, 2 Mg 1.99
O: 0.5000 0.0000 0.3832  2 Cu 1.99
O: 0.5000 0.0000 0.6168  2 Cu 1.99
O: 0.5000 0.5000 0.1575  1 Ru 2.04
O: 0.5000 0.5000 0.8425  1 Ru 2.04

Values from the calculation:
E_form, kJ per mole of atoms: -202
Space-group type: No. 123
Uncorrected energy, eV/atom: -6.8013
Crystal system: tetragonal

A relaxed structure of Gd2CuO4, computed with GGA-PBE.

a b c (Å): 6.5574 5.5194 5.5239
angles (deg): 90.00 113.56 90.00
Closest atoms and distances in Å follow each position.
Atoms (fractional coordinates):
Gd: 0.1971 0.0029 0.3433  4 O 2.26-2.30
Gd: 0.1971 0.4971 0.8433  4 O 2.26-2.30
Gd: 0.8029 0.5029 0.1567  4 O 2.26-2.30
Gd: 0.8029 0.9971 0.6567  4 O 2.26-2.30
Cu: 0.5000 0.0000 0.0000  4 O 1.96
Cu: 0.5000 0.5000 0.5000  4 O 1.96
O: 0.0027 0.7490 0.4960  4 Gd 2.26-2.30
O: 0.0027 0.7510 0.9960  4 Gd 2.26-2.30
O: 0.4950 0.2275 0.7247  2 Cu 1.96
O: 0.4950 0.2725 0.2247  2 Cu 1.96
O: 0.5050 0.7275 0.7753  2 Cu 1.96
O: 0.5050 0.7725 0.2753  2 Cu 1.96
O: 0.9973 0.2490 0.0040  4 Gd 2.26-2.30
O: 0.9973 0.2510 0.5040  4 Gd 2.26-2.30

Values from the calculation:
E_form, kJ per mole of atoms: -292
Space-group type: No. 14
Uncorrected energy, eV/atom: -10.0724
Crystal system: monoclinic

A relaxed structure of Gd2CuO4, computed with GGA-PBE.

a b c (Å): 5.5287 5.5285 6.5941
angles (deg): 90.00 65.22 90.00
Closest atoms and distances in Å follow each position.
Atoms (fractional coordinates):
Gd: 0.1509 0.5000 0.6982  4 O 2.29
Gd: 0.3493 0.0000 0.3014  4 O 2.29
Gd: 0.8493 0.5000 0.3014  4 O 2.29
Gd: 0.6506 0.0000 0.6987  4 O 2.29
O: 0.2499 0.7501 0.0000  2 Cu 1.95-1.96
O: 0.5000 0.7500 0.5000  4 Gd 2.29
O: 0.7501 0.2499 0.0000  2 Cu 1.95-1.96
O: 0.0000 0.7500 0.4999  4 Gd 2.29
O: 0.5001 0.2500 0.4999  4 Gd 2.29
O: 0.0000 0.2500 0.5000  4 Gd 2.29
O: 0.2499 0.2499 0.0000  2 Cu 1.95-1.96
O: 0.7501 0.7501 0.0000  2 Cu 1.95-1.96
Cu: 0.5000 0.5000 0.0000  4 O 1.96
Cu: 0.0000 0.0000 0.0000  4 O 1.95

Values from the calculation:
E_form, kJ per mole of atoms: -295
Uncorrected energy, eV/atom: -10.1013

A relaxed structure of GdCu2O4, computed with GGA-PBE.

a b c (Å): 6.3240 6.3240 6.3240
angles (deg): 125.98 125.98 79.92
Closest atoms and distances in Å follow each position.
Atoms (fractional coordinates):
Gd: 0.3750 0.1250 0.2500  8 O 2.42-2.43
Gd: 0.6250 0.8750 0.7500  8 O 2.42-2.43
Cu: 0.0000 0.0000 0.5000  4 O 1.90-1.92
Cu: 0.0000 0.5000 0.0000  4 O 1.90-1.92
Cu: 0.0000 0.5000 0.5000  4 O 1.90-1.92
Cu: 0.5000 0.5000 0.0000  4 O 1.90-1.92
O: 0.0294 0.1383 0.3147  2 Cu 1.90-1.92
O: 0.2147 0.5294 0.3912  2 Cu 1.90-1.92
O: 0.3236 0.7147 0.1853  2 Cu 1.90-1.92
O: 0.3617 0.1764 0.8912  2 Cu 1.90-1.92
O: 0.6383 0.8236 0.1088  2 Cu 1.90-1.92
O: 0.6764 0.2853 0.8147  2 Cu 1.90-1.92
O: 0.7853 0.4706 0.6088  2 Cu 1.90-1.92
O: 0.9706 0.8617 0.6853  2 Cu 1.90-1.92

Values from the calculation:
E_form, kJ per mole of atoms: -197
Space-group type: No. 88
Uncorrected energy, eV/atom: -7.6623
Crystal system: tetragonal

A relaxed structure of Sr2GdCu3Pb2O8, computed with GGA-PBE.

a b c (Å): 3.8462 3.8462 16.0418
angles (deg): 90.00 90.00 90.00
Closest atoms and distances in Å follow each position.
Atoms (fractional coordinates):
Sr: 0.0000 0.0000 0.2219  9 O 2.60-2.82
Sr: 0.0000 0.0000 0.7781  9 O 2.60-2.82
Gd: 0.0000 0.0000 0.0000  8 O 2.44
Cu: 0.0000 0.0000 0.5000  2 O 1.86
Cu: 0.5000 0.5000 0.1064  4 O 1.93
Cu: 0.5000 0.5000 0.8936  4 O 1.93
Pb: 0.5000 0.5000 0.3878  1 O 2.18
Pb: 0.5000 0.5000 0.6122  1 O 2.18
O: 0.0000 0.0000 0.3840  1 Cu 1.86
O: 0.0000 0.0000 0.6160  1 Cu 1.86
O: 0.0000 0.5000 0.0937  2 Cu 1.93
O: 0.0000 0.5000 0.9063  2 Cu 1.93
O: 0.5000 0.0000 0.0937  2 Cu 1.93
O: 0.5000 0.0000 0.9063  2 Cu 1.93
O: 0.5000 0.5000 0.2517  1 Pb 2.18, 1 Cu 2.33
O: 0.5000 0.5000 0.7483  1 Pb 2.18, 1 Cu 2.33

Values from the calculation:
E_form, kJ per mole of atoms: -198
Space-group type: No. 123
Uncorrected energy, eV/atom: -6.5062
Crystal system: tetragonal

A relaxed structure of GdCuSeO, computed with GGA-PBE.

a b c (Å): 3.9361 3.9361 8.7887
angles (deg): 90.00 90.00 90.00
Closest atoms and distances in Å follow each position.
Atoms (fractional coordinates):
Gd: 0.2500 0.2500 0.1323  4 O 2.29
Gd: 0.7500 0.7500 0.8677  4 O 2.29
Cu: 0.2500 0.7500 0.5000  4 Se 2.52, 4 Cu 2.78
Cu: 0.7500 0.2500 0.5000  4 Se 2.52, 4 Cu 2.78
Se: 0.2500 0.2500 0.6795  4 Cu 2.52
Se: 0.7500 0.7500 0.3205  4 Cu 2.52
O: 0.2500 0.7500 0.0000  4 Gd 2.29
O: 0.7500 0.2500 0.0000  4 Gd 2.29

Values from the calculation:
E_form, kJ per mole of atoms: -205
Space-group type: No. 129
Uncorrected energy, eV/atom: -8.6082
Crystal system: tetragonal

A relaxed structure of Gd2TiCuO6, computed with GGA-PBE.

a b c (Å): 5.4009 5.7611 9.2533
angles (deg): 90.00 125.31 90.00
Closest atoms and distances in Å follow each position.
Atoms (fractional coordinates):
Gd: 0.2308 0.0712 0.2495  6 O 2.29-2.53
Gd: 0.2308 0.4288 0.7495  6 O 2.29-2.53
Gd: 0.7692 0.5712 0.2505  6 O 2.29-2.53
Gd: 0.7692 0.9288 0.7505  6 O 2.29-2.53
Ti: 0.5000 0.0000 0.0000  6 O 1.94-1.99
Ti: 0.5000 0.5000 0.5000  6 O 1.94-1.99
Cu: 0.0000 0.0000 0.5000  6 O 2.00-2.19
Cu: 0.0000 0.5000 0.0000  6 O 2.00-2.19
O: 0.1514 0.1794 0.9452  1 Ti 1.94
O: 0.1514 0.3206 0.4452  1 Ti 1.94
O: 0.2595 0.7091 0.9409  1 Ti 1.99, 1 Cu 2.14
O: 0.2595 0.7909 0.4409  1 Ti 1.99, 1 Cu 2.14
O: 0.3618 0.0401 0.7510  1 Ti 1.98, 1 Cu 2.00
O: 0.3618 0.4599 0.2510  1 Ti 1.98, 1 Cu 2.00
O: 0.6382 0.5401 0.7490  1 Ti 1.98, 1 Cu 2.00
O: 0.6382 0.9599 0.2490  1 Ti 1.98, 1 Cu 2.00
O: 0.7405 0.2091 0.5591  1 Ti 1.99, 1 Cu 2.14
O: 0.7405 0.2909 0.0591  1 Ti 1.99, 1 Cu 2.14
O: 0.8486 0.6794 0.5548  1 Ti 1.94
O: 0.8486 0.8206 0.0548  1 Ti 1.94

Values from the calculation:
E_form, kJ per mole of atoms: -306
Space-group type: No. 14
Uncorrected energy, eV/atom: -9.7396
Crystal system: monoclinic

A relaxed structure of Gd2Ti12Cu9O36, computed with GGA-PBE.

a b c (Å): 10.5131 10.5131 6.4442
angles (deg): 90.00 90.00 120.00
Closest atoms and distances in Å follow each position.
Atoms (fractional coordinates):
Gd: 0.3333 0.6667 0.3295  12 O 2.57-2.59
Gd: 0.6667 0.3333 0.6705  12 O 2.57-2.59
Ti: 0.0000 0.0000 0.5000  6 O 1.98
Ti: 0.0000 0.5000 0.5000  6 O 1.97-1.98
Ti: 0.1583 0.3186 0.1634  6 O 1.89-2.08
Ti: 0.1603 0.8417 0.1634  6 O 1.89-2.08
Ti: 0.3186 0.1603 0.8366  6 O 1.89-2.08
Ti: 0.3333 0.6667 0.8405  6 O 1.94-2.01
Ti: 0.5000 0.0000 0.5000  6 O 1.97-1.98
Ti: 0.5000 0.5000 0.5000  6 O 1.97-1.98
Ti: 0.6667 0.3333 0.1595  6 O 1.94-2.01
Ti: 0.6814 0.8397 0.1634  6 O 1.89-2.08
Ti: 0.8397 0.1583 0.8366  6 O 1.89-2.08
Ti: 0.8417 0.6814 0.8366  6 O 1.89-2.08
Cu: 0.0000 0.5000 0.0000  4 O 1.98
Cu: 0.1675 0.8320 0.6634  4 O 1.96-1.97
Cu: 0.1680 0.3355 0.6634  4 O 1.96-1.97
Cu: 0.3355 0.1675 0.3366  4 O 1.96-1.97
Cu: 0.5000 0.0000 0.0000  4 O 1.98
Cu: 0.5000 0.5000 0.0000  4 O 1.98
Cu: 0.6645 0.8325 0.6634  4 O 1.96-1.97
Cu: 0.8320 0.6645 0.3366  4 O 1.96-1.97
Cu: 0.8325 0.1680 0.3366  4 O 1.96-1.97
O: 0.0167 0.1638 0.3289  2 Ti 1.89-1.98, 1 Cu 1.96
O: 0.0439 0.2677 0.9120  2 Ti 1.92-1.93, 1 Cu 1.96
O: 0.0754 0.4497 0.2504  2 Ti 1.98-2.04, 1 Cu 1.98
O: 0.1168 0.7075 0.4147  1 Cu 1.97, 2 Ti 1.97-2.04
O: 0.1472 0.9833 0.3289  2 Ti 1.89-1.98, 1 Cu 1.96
O: 0.1638 0.1472 0.6711  2 Ti 1.89-1.98, 1 Cu 1.96
O: 0.1756 0.5256 0.6481  1 Cu 1.96, 2 Ti 1.97-2.01
O: 0.1922 0.6836 0.0157  2 Ti 1.94-2.08, 1 Cu 1.98
O: 0.2239 0.9561 0.9120  2 Ti 1.92-1.93, 1 Cu 1.96
O: 0.2677 0.2239 0.0880  2 Ti 1.92-1.93, 1 Cu 1.96
O: 0.2925 0.4093 0.4147  1 Cu 1.97, 2 Ti 1.97-2.04
O: 0.3164 0.5086 0.0157  2 Ti 1.94-2.08, 1 Cu 1.98
O: 0.3501 0.8244 0.6481  1 Cu 1.96, 2 Ti 1.97-2.01
O: 0.3744 0.9246 0.2504  2 Ti 1.98-2.04, 1 Cu 1.98
O: 0.4093 0.1168 0.5853  1 Cu 1.97, 2 Ti 1.97-2.04
O: 0.4497 0.3744 0.7496  2 Ti 1.98-2.04, 1 Cu 1.98
O: 0.4744 0.6499 0.6481  1 Cu 1.96, 2 Ti 1.97-2.01
O: 0.4914 0.8078 0.0157  2 Ti 1.94-2.08, 1 Cu 1.98
O: 0.5086 0.1922 0.9843  2 Ti 1.94-2.08, 1 Cu 1.98
O: 0.5256 0.3501 0.3519  1 Cu 1.96, 2 Ti 1.97-2.01
O: 0.5503 0.6256 0.2504  2 Ti 1.98-2.04, 1 Cu 1.98
O: 0.5907 0.8832 0.4147  1 Cu 1.97, 2 Ti 1.97-2.04
O: 0.6256 0.0754 0.7496  2 Ti 1.98-2.04, 1 Cu 1.98
O: 0.6499 0.1756 0.3519  1 Cu 1.96, 2 Ti 1.97-2.01
O: 0.6836 0.4914 0.9843  2 Ti 1.94-2.08, 1 Cu 1.98
O: 0.7075 0.5907 0.5853  1 Cu 1.97, 2 Ti 1.97-2.04
O: 0.7323 0.7761 0.9120  2 Ti 1.92-1.93, 1 Cu 1.96
O: 0.7761 0.0439 0.0880  2 Ti 1.92-1.93, 1 Cu 1.96
O: 0.8078 0.3164 0.9843  2 Ti 1.94-2.08, 1 Cu 1.98
O: 0.8244 0.4744 0.3519  1 Cu 1.96, 2 Ti 1.97-2.01
O: 0.8362 0.8528 0.3289  2 Ti 1.89-1.98, 1 Cu 1.96
O: 0.8528 0.0167 0.6711  2 Ti 1.89-1.98, 1 Cu 1.96
O: 0.8832 0.2925 0.5853  1 Cu 1.97, 2 Ti 1.97-2.04
O: 0.9246 0.5503 0.7496  2 Ti 1.98-2.04, 1 Cu 1.98
O: 0.9561 0.7323 0.0880  2 Ti 1.92-1.93, 1 Cu 1.96
O: 0.9833 0.8362 0.6711  2 Ti 1.89-1.98, 1 Cu 1.96

Values from the calculation:
E_form, kJ per mole of atoms: -262
Space-group type: No. 147
Uncorrected energy, eV/atom: -8.0228
Crystal system: trigonal